Entry 1:
The following is a PBE-GGA calculation of a relaxed Ho crystal, from Materials Project.

For the energy relative to the elements, the calculation gives 0.00 eV per formula unit. Its calculated total energy is -4.582 eV per atom.

The structure belongs to space group R-3m (No. 166, hexagonal axes); the cell edges are 3.5450, 3.5450 and 25.6700 Å and the angles 90.00°, 90.00° and 120.00°. The inequivalent atoms are Ho at (0.0000, 0.0000, 0.0000) and Ho at (0.0000, 0.0000, 0.2221).

Entry 2:
The following is a PBE-GGA calculation of a relaxed HoI3 crystal, from Materials Project.

For the energy relative to the elements, the calculation gives -6.58 eV per formula unit. Its calculated total energy is -3.649 eV per atom.

The structure belongs to space group P6_3/mmc (No. 194); the cell edges are 11.7571, 11.7571 and 3.9781 Å and the angles 90.00°, 90.00° and 120.00°. The inequivalent atoms are Ho at (0.3333, 0.6667, 0.2500) and I at (0.2199, 0.4398, 0.7500).

no.,mass density (g/cm³)
1,8.8
2,3.8